Record 1
The following is a PBE calculation of CeTa3O9 after structural relaxation, from the Materials Project database. Values from VASP.

Space-group type: C2/m, No. 12
Calculated total energy in eV per atom: -9.615
Formation energy from the elements in eV/atom: -3.473
Energy with MP2020 corrections in eV per atom: -10.091

Structure (Quantum ESPRESSO input):
```
&SYSTEM
  ibrav = 0, nat = 26, ntyp = 3
/
ATOMIC_SPECIES
Ce 140.12 Ce.upf
Ta 180.95 Ta.upf
O 16.00 O.upf
CELL_PARAMETERS angstrom
1.801 -1.270 -7.036
6.868 1.710 -2.065
2.306 -6.068 1.288
ATOMIC_POSITIONS crystal
Ce 0.263 0.263 0.050
Ce 0.737 0.737 0.950
Ta 0.782 0.284 0.237
Ta 0.716 0.218 0.763
Ta 0.218 0.716 0.763
Ta 0.284 0.782 0.237
Ta 0.500 0.000 0.500
Ta 0.000 0.500 0.500
O 0.922 0.492 0.220
O 0.508 0.078 0.780
O 0.078 0.508 0.780
O 0.492 0.922 0.220
O 0.311 0.873 0.547
O 0.127 0.689 0.453
O 0.689 0.127 0.453
O 0.873 0.311 0.547
O 0.638 0.180 0.067
O 0.820 0.362 0.933
O 0.362 0.820 0.933
O 0.180 0.638 0.067
O 0.068 0.068 0.205
O 0.932 0.932 0.795
O 0.461 0.461 0.729
O 0.539 0.539 0.271
O 0.268 0.268 0.425
O 0.732 0.732 0.575
```

Record 2
The following is a PBE calculation of MgPt after structural relaxation, from the Materials Project database. Values from VASP.

Space-group type: P2_13, No. 198
Calculated total energy in eV per atom: -4.547
Formation energy from the elements in eV/atom: -0.712

Structure (Quantum ESPRESSO input):
```
&SYSTEM
  ibrav = 0, nat = 8, ntyp = 2
/
ATOMIC_SPECIES
Mg 24.30 Mg.upf
Pt 195.08 Pt.upf
CELL_PARAMETERS angstrom
5.093 0.000 0.000
0.000 5.093 0.000
0.000 0.000 5.093
ATOMIC_POSITIONS crystal
Mg 0.156 0.344 0.656
Mg 0.344 0.656 0.156
Mg 0.656 0.156 0.344
Mg 0.844 0.844 0.844
Pt 0.853 0.647 0.353
Pt 0.647 0.353 0.853
Pt 0.353 0.853 0.647
Pt 0.147 0.147 0.147
```

Record 3
The following is a PBE calculation of NaLiLa2Ti4O12 after structural relaxation, from the Materials Project database. Values from VASP.

Space-group type: P1, No. 1
Magnetic moment in μB per cell: 0.0
Calculated total energy in eV per atom: -8.238
Formation energy from the elements in eV/atom: -3.447
Energy with MP2020 corrections in eV per atom: -8.650

Structure (Quantum ESPRESSO input):
```
&SYSTEM
  ibrav = 0, nat = 20, ntyp = 5
/
ATOMIC_SPECIES
Na 22.99 Na.upf
Li 6.94 Li.upf
La 138.91 La.upf
Ti 47.87 Ti.upf
O 16.00 O.upf
CELL_PARAMETERS angstrom
5.490 0.000 0.000
-0.007 5.493 0.000
-0.031 -0.015 8.006
ATOMIC_POSITIONS crystal
Na 0.511 0.989 0.812
Li 0.485 0.996 0.383
La 0.000 0.494 0.773
La 0.997 0.498 0.265
Ti 0.003 0.997 0.024
Ti 0.494 0.497 0.021
Ti 0.502 0.499 0.518
Ti 0.994 0.999 0.520
O 0.252 0.758 0.519
O 0.060 0.001 0.248
O 0.255 0.251 0.967
O 0.781 0.277 0.020
O 0.226 0.273 0.519
O 0.553 0.500 0.745
O 0.447 0.500 0.247
O 0.761 0.738 0.468
O 0.235 0.730 0.971
O 0.757 0.750 0.019
O 0.946 0.004 0.745
O 0.741 0.247 0.465
```

Q: Among the records above, which one has the lowest formation energy from the elements?
A: CeTa3O9

Copy entry 2 word for word.
The following is a PBE calculation of MgPt after structural relaxation, from the Materials Project database. Values from VASP.

Space-group type: P2_13, No. 198
Calculated total energy in eV per atom: -4.547
Formation energy from the elements in eV/atom: -0.712

Structure (Quantum ESPRESSO input):
```
&SYSTEM
  ibrav = 0, nat = 8, ntyp = 2
/
ATOMIC_SPECIES
Mg 24.30 Mg.upf
Pt 195.08 Pt.upf
CELL_PARAMETERS angstrom
5.093 0.000 0.000
0.000 5.093 0.000
0.000 0.000 5.093
ATOMIC_POSITIONS crystal
Mg 0.156 0.344 0.656
Mg 0.344 0.656 0.156
Mg 0.656 0.156 0.344
Mg 0.844 0.844 0.844
Pt 0.853 0.647 0.353
Pt 0.647 0.353 0.853
Pt 0.353 0.853 0.647
Pt 0.147 0.147 0.147
```

Q: calculated total energy of number 1 (CeTa3O9)?
A: -9.615 eV per atom

Copy entry 3 word for word.
The following is a PBE calculation of NaLiLa2Ti4O12 after structural relaxation, from the Materials Project database. Values from VASP.

Space-group type: P1, No. 1
Magnetic moment in μB per cell: 0.0
Calculated total energy in eV per atom: -8.238
Formation energy from the elements in eV/atom: -3.447
Energy with MP2020 corrections in eV per atom: -8.650

Structure (Quantum ESPRESSO input):
```
&SYSTEM
  ibrav = 0, nat = 20, ntyp = 5
/
ATOMIC_SPECIES
Na 22.99 Na.upf
Li 6.94 Li.upf
La 138.91 La.upf
Ti 47.87 Ti.upf
O 16.00 O.upf
CELL_PARAMETERS angstrom
5.490 0.000 0.000
-0.007 5.493 0.000
-0.031 -0.015 8.006
ATOMIC_POSITIONS crystal
Na 0.511 0.989 0.812
Li 0.485 0.996 0.383
La 0.000 0.494 0.773
La 0.997 0.498 0.265
Ti 0.003 0.997 0.024
Ti 0.494 0.497 0.021
Ti 0.502 0.499 0.518
Ti 0.994 0.999 0.520
O 0.252 0.758 0.519
O 0.060 0.001 0.248
O 0.255 0.251 0.967
O 0.781 0.277 0.020
O 0.226 0.273 0.519
O 0.553 0.500 0.745
O 0.447 0.500 0.247
O 0.761 0.738 0.468
O 0.235 0.730 0.971
O 0.757 0.750 0.019
O 0.946 0.004 0.745
O 0.741 0.247 0.465
```